Entry 1:
This record from the Materials Project database describes a geometry-optimized Ca3SiS2O25 structure. The functional is PBE-GGA.

Results
As for the energy relative to the elements: -0.959 eV/atom. The calculation puts the total energy at -5.455 eV/atom. As for the total magnetization: 8.0 μB per formula unit.

a = 11.0313 Å, b = 9.2279 Å, c = 11.0625 Å
α = 90.00°, β = 119.62°, γ = 90.00°
Space group P2_1 (No. 4)
Inequivalent atoms, fractional coordinates:
Ca 0.0470 0.0000 0.2361 [2 per cell]
Ca 0.1904 0.9993 0.9519 [2 per cell]
Ca 0.2358 0.4979 0.1886 [2 per cell]
Si 0.0011 0.7512 0.0015 [2 per cell]
S 0.3338 0.7118 0.6676 [2 per cell]
S 0.3347 0.2852 0.6714 [2 per cell]
O 0.0255 0.3658 0.1389 [2 per cell]
O 0.0301 0.7255 0.2557 [2 per cell]
O 0.0326 0.6411 0.1474 [2 per cell]
O 0.0357 0.4920 0.4276 [2 per cell]
O 0.0838 0.9860 0.6718 [2 per cell]
O 0.0897 0.2932 0.2713 [2 per cell]
O 0.1134 0.3656 0.9718 [2 per cell]
O 0.1140 0.6409 0.9676 [2 per cell]
O 0.1429 0.8648 0.1154 [2 per cell]
O 0.1444 0.1404 0.1109 [2 per cell]
O 0.1825 0.2933 0.9076 [2 per cell]
O 0.1897 0.7224 0.6309 [2 per cell]
O 0.1917 0.2223 0.5830 [2 per cell]
O 0.2257 0.7240 0.9700 [2 per cell]
O 0.2532 0.2228 0.2226 [2 per cell]
O 0.2743 0.7899 0.1830 [2 per cell]
O 0.3279 0.9858 0.4105 [2 per cell]
O 0.3312 0.4450 0.6698 [2 per cell]
O 0.3715 0.7238 0.5609 [2 per cell]
O 0.3933 0.4921 0.9666 [2 per cell]
O 0.3975 0.2254 0.8136 [2 per cell]
O 0.4115 0.2271 0.6011 [2 per cell]
O 0.4118 0.4858 0.0856 [2 per cell]
O 0.4270 0.9914 0.3887 [2 per cell]
O 0.4401 0.7231 0.8110 [2 per cell]

***

Entry 2:
This record from the Materials Project database describes a geometry-optimized CaSiSn3S5O24 structure. The functional is PBE-GGA.

Results
As for the energy relative to the elements: -2.078 eV/atom. The calculation puts the total energy at -6.266 eV/atom. As for the total magnetization: 0.0 μB per formula unit.

a = 8.9128 Å, b = 8.9183 Å, c = 23.0452 Å
α = 89.80°, β = 89.82°, γ = 60.33°
Space group P1 (No. 1)
Inequivalent atoms, fractional coordinates:
Ca 0.0000 0.0000 0.0000 [1 per cell]
Ca 0.0002 0.0071 0.4935 [1 per cell]
Ca 0.6686 0.6731 0.6683 [1 per cell]
Si 0.3291 0.0495 0.2240 [1 per cell]
Si 0.6230 0.3363 0.2239 [1 per cell]
Si 0.9921 0.7110 0.8919 [1 per cell]
Sn 0.3250 0.3441 0.8318 [1 per cell]
Sn 0.3291 0.3388 0.6202 [1 per cell]
Sn 0.3362 0.3294 0.1247 [1 per cell]
Sn 0.3412 0.3329 0.3208 [1 per cell]
Sn 0.6577 0.6728 0.1681 [1 per cell]
Sn 0.6622 0.6724 0.4537 [1 per cell]
Sn 0.6728 0.6706 0.9550 [1 per cell]
Sn 0.9940 0.9989 0.7945 [1 per cell]
Sn 0.9960 0.0143 0.2832 [1 per cell]
S 0.0432 0.6299 0.2241 [1 per cell]
S 0.0556 0.3122 0.7263 [1 per cell]
S 0.2978 0.7017 0.3893 [1 per cell]
S 0.2987 0.9990 0.8894 [1 per cell]
S 0.3131 0.6334 0.7247 [1 per cell]
S 0.3825 0.9701 0.5580 [1 per cell]
S 0.3913 0.6529 0.0575 [1 per cell]
S 0.6215 0.0698 0.7269 [1 per cell]
S 0.6480 0.9625 0.0595 [1 per cell]
S 0.6492 0.3886 0.5579 [1 per cell]
S 0.6999 0.0016 0.3900 [1 per cell]
S 0.7038 0.3046 0.8894 [1 per cell]
S 0.9604 0.3970 0.0613 [1 per cell]
S 0.9651 0.6553 0.5572 [1 per cell]
S 0.9988 0.3134 0.3896 [1 per cell]
O 0.0266 0.8004 0.2341 [1 per cell]
O 0.0287 0.7988 0.9444 [1 per cell]
O 0.0303 0.2115 0.4422 [1 per cell]
O 0.0466 0.1499 0.7333 [1 per cell]
O 0.1143 0.5180 0.2762 [1 per cell]
O 0.1295 0.3952 0.0652 [1 per cell]
O 0.1377 0.4877 0.5613 [1 per cell]
O 0.1420 0.3368 0.7770 [1 per cell]
O 0.1446 0.3466 0.3796 [1 per cell]
O 0.1543 0.8037 0.7311 [1 per cell]
O 0.1547 0.5585 0.1721 [1 per cell]
O 0.1585 0.5155 0.8816 [1 per cell]
O 0.1641 0.2804 0.6720 [1 per cell]
O 0.1710 0.0091 0.2325 [1 per cell]
O 0.1833 0.0449 0.9383 [1 per cell]
O 0.2007 0.7763 0.4424 [1 per cell]
O 0.2106 0.9962 0.5502 [1 per cell]
O 0.2165 0.8138 0.3377 [1 per cell]
O 0.2215 0.9722 0.8343 [1 per cell]
O 0.2265 0.8083 0.0525 [1 per cell]
O 0.2733 0.1801 0.1684 [1 per cell]
O 0.2788 0.5566 0.6709 [1 per cell]
O 0.3165 0.5276 0.3817 [1 per cell]
O 0.3414 0.5208 0.7756 [1 per cell]
O 0.3416 0.1394 0.8788 [1 per cell]
O 0.3569 0.1324 0.2831 [1 per cell]
O 0.3739 0.4959 0.0626 [1 per cell]
O 0.3762 0.1437 0.5619 [1 per cell]
O 0.4649 0.6512 0.7183 [1 per cell]
O 0.4646 0.8368 0.8974 [1 per cell]
O 0.4650 0.8674 0.6092 [1 per cell]
O 0.4782 0.6810 0.3941 [1 per cell]
O 0.4819 0.6713 0.1084 [1 per cell]
O 0.4828 0.3808 0.5621 [1 per cell]
O 0.4840 0.1309 0.0638 [1 per cell]
O 0.4923 0.8934 0.5036 [1 per cell]
O 0.4958 0.3922 0.2805 [1 per cell]
O 0.5005 0.6213 0.0028 [1 per cell]
O 0.5099 0.8715 0.2152 [1 per cell]
O 0.5108 0.1529 0.7783 [1 per cell]
O 0.5254 0.1536 0.3824 [1 per cell]
O 0.5347 0.3132 0.8784 [1 per cell]
O 0.5372 0.3062 0.1660 [1 per cell]
O 0.5418 0.1769 0.6727 [1 per cell]
O 0.6165 0.4987 0.5034 [1 per cell]
O 0.6184 0.8842 0.0055 [1 per cell]
O 0.6442 0.8984 0.7214 [1 per cell]
O 0.6662 0.4917 0.2168 [1 per cell]
O 0.6697 0.4715 0.6090 [1 per cell]
O 0.6706 0.4837 0.8957 [1 per cell]
O 0.6756 0.8501 0.1104 [1 per cell]
O 0.6802 0.8416 0.3950 [1 per cell]
O 0.7750 0.0256 0.4427 [1 per cell]
O 0.7822 0.1978 0.9395 [1 per cell]
O 0.7888 0.0683 0.7321 [1 per cell]
O 0.7944 0.2174 0.5496 [1 per cell]
O 0.7956 0.9867 0.0538 [1 per cell]
O 0.7989 0.1526 0.2343 [1 per cell]
O 0.8131 0.9686 0.3384 [1 per cell]
O 0.8175 0.2357 0.8354 [1 per cell]
O 0.8201 0.6871 0.8962 [1 per cell]
O 0.8360 0.4884 0.3955 [1 per cell]
O 0.8514 0.4841 0.1126 [1 per cell]
O 0.8646 0.6752 0.6093 [1 per cell]
O 0.8716 0.6489 0.2150 [1 per cell]
O 0.8810 0.5005 0.0066 [1 per cell]
O 0.8846 0.6238 0.5039 [1 per cell]
O 0.8860 0.4623 0.7206 [1 per cell]
O 0.9503 0.8277 0.8301 [1 per cell]
O 0.9663 0.2314 0.3385 [1 per cell]
O 0.9828 0.2258 0.0559 [1 per cell]
O 0.9935 0.7997 0.5489 [1 per cell]

***

Entry 3:
This record from the Materials Project database describes a geometry-optimized Ca2Ta4Si3S6O36 structure. The functional is PBE-GGA.

Results
As for the energy relative to the elements: -2.604 eV/atom. The calculation puts the total energy at -7.426 eV/atom. As for the total magnetization: 0.0 μB per formula unit.

a = 15.5730 Å, b = 9.0180 Å, c = 23.0214 Å
α = 90.00°, β = 90.30°, γ = 90.00°
Space group Cc (No. 9)
Inequivalent atoms, fractional coordinates:
Ca 0.0000 0.0007 0.0000 [4 per cell]
Ca 0.1686 0.4936 0.3223 [4 per cell]
Ta 0.9997 0.0147 0.2068 [4 per cell]
Ta 0.1680 0.4951 0.0444 [4 per cell]
Ta 0.3312 0.0025 0.3772 [4 per cell]
Ta 0.3333 0.0100 0.1622 [4 per cell]
Si 0.0001 0.2937 0.1026 [4 per cell]
Si 0.1885 0.1282 0.2687 [4 per cell]
Si 0.3592 0.3591 0.1021 [4 per cell]
S 0.0235 0.3654 0.4349 [4 per cell]
S 0.1490 0.1501 0.6044 [4 per cell]
S 0.1759 0.2150 0.9358 [4 per cell]
S 0.3097 0.3484 0.4355 [4 per cell]
S 0.3432 0.2770 0.7694 [4 per cell]
S 0.4699 0.1523 0.2693 [4 per cell]
O 0.0096 0.2090 0.4435 [4 per cell]
O 0.0206 0.1803 0.1604 [4 per cell]
O 0.0544 0.4123 0.7740 [4 per cell]
O 0.0669 0.4343 0.4882 [4 per cell]
O 0.0735 0.3965 0.3838 [4 per cell]
O 0.0881 0.3999 0.0908 [4 per cell]
O 0.0919 0.1274 0.6552 [4 per cell]
O 0.0968 0.0386 0.2574 [4 per cell]
O 0.1097 0.1071 0.9460 [4 per cell]
O 0.1214 0.0743 0.5524 [4 per cell]
O 0.1559 0.3152 0.5939 [4 per cell]
O 0.1636 0.3026 0.8841 [4 per cell]
O 0.1804 0.3002 0.2713 [4 per cell]
O 0.1892 0.3154 0.9887 [4 per cell]
O 0.2392 0.1008 0.6183 [4 per cell]
O 0.2406 0.0532 0.3277 [4 per cell]
O 0.2505 0.0746 0.2158 [4 per cell]
O 0.2543 0.3704 0.4880 [4 per cell]
O 0.2622 0.1286 0.9291 [4 per cell]
O 0.2626 0.4388 0.0891 [4 per cell]
O 0.2688 0.3712 0.7750 [4 per cell]
O 0.2699 0.4068 0.3838 [4 per cell]
O 0.3160 0.1745 0.4277 [4 per cell]
O 0.3345 0.1863 0.1211 [4 per cell]
O 0.3358 0.1841 0.7178 [4 per cell]
O 0.3585 0.1846 0.8230 [4 per cell]
O 0.3967 0.3988 0.4426 [4 per cell]
O 0.4068 0.4362 0.1597 [4 per cell]
O 0.4139 0.3576 0.0459 [4 per cell]
O 0.4166 0.1173 0.3227 [4 per cell]
O 0.4234 0.3727 0.7631 [4 per cell]
O 0.4241 0.0948 0.6239 [4 per cell]
O 0.4270 0.0842 0.2178 [4 per cell]
O 0.4362 0.0568 0.9274 [4 per cell]
O 0.4734 0.3149 0.2620 [4 per cell]
O 0.4806 0.2948 0.5463 [4 per cell]

***

Entry 4:
This record from the Materials Project database describes a geometry-optimized CaTi3SiS5O24 structure. The functional is PBE-GGA.

Results
As for the energy relative to the elements: -2.510 eV/atom. The calculation puts the total energy at -7.041 eV/atom. As for the total magnetization: 0.0 μB per formula unit.

a = 8.7859 Å, b = 8.7860 Å, c = 22.5747 Å
α = 89.62°, β = 89.87°, γ = 60.06°
Space group P1 (No. 1)
Inequivalent atoms, fractional coordinates:
Ca 0.0000 0.0000 0.0000 [1 per cell]
Ca 0.0054 0.9959 0.5074 [1 per cell]
Ca 0.6697 0.6634 0.3271 [1 per cell]
Ti 0.0076 0.9978 0.7200 [1 per cell]
Ti 0.3210 0.3400 0.8794 [1 per cell]
Ti 0.3282 0.3412 0.6779 [1 per cell]
Ti 0.3362 0.3272 0.3838 [1 per cell]
Ti 0.3410 0.3218 0.1675 [1 per cell]
Ti 0.6668 0.6624 0.5486 [1 per cell]
Ti 0.6689 0.6546 0.8301 [1 per cell]
Ti 0.6693 0.6709 0.0483 [1 per cell]
Ti 0.9935 0.9895 0.2102 [1 per cell]
Si 0.0519 0.3273 0.7778 [1 per cell]
Si 0.3321 0.6177 0.7769 [1 per cell]
Si 0.7101 0.9954 0.1069 [1 per cell]
S 0.0004 0.2915 0.1109 [1 per cell]
S 0.0004 0.6955 0.6102 [1 per cell]
S 0.0726 0.6165 0.2736 [1 per cell]
S 0.3000 0.7014 0.1110 [1 per cell]
S 0.3061 0.9952 0.6114 [1 per cell]
S 0.3126 0.0651 0.2744 [1 per cell]
S 0.3916 0.6448 0.4415 [1 per cell]
S 0.4053 0.9473 0.9388 [1 per cell]
S 0.6239 0.0458 0.7762 [1 per cell]
S 0.6239 0.3091 0.2735 [1 per cell]
S 0.6543 0.3929 0.9394 [1 per cell]
S 0.6544 0.9571 0.4417 [1 per cell]
S 0.7031 0.2954 0.6103 [1 per cell]
S 0.9543 0.6476 0.9397 [1 per cell]
S 0.9648 0.3846 0.4417 [1 per cell]
O 0.0042 0.2057 0.4509 [1 per cell]
O 0.0286 0.1576 0.7619 [1 per cell]
O 0.0390 0.7586 0.5560 [1 per cell]
O 0.0530 0.1850 0.0584 [1 per cell]
O 0.0650 0.7916 0.2670 [1 per cell]
O 0.1287 0.4792 0.9356 [1 per cell]
O 0.1408 0.3804 0.4343 [1 per cell]
O 0.1422 0.3323 0.1261 [1 per cell]
O 0.1500 0.3543 0.7208 [1 per cell]
O 0.1506 0.5148 0.6219 [1 per cell]
O 0.1516 0.0543 0.2676 [1 per cell]
O 0.1571 0.8067 0.7614 [1 per cell]
O 0.1613 0.5103 0.2216 [1 per cell]
O 0.1768 0.5331 0.3288 [1 per cell]
O 0.1819 0.2857 0.8349 [1 per cell]
O 0.1948 0.7648 0.0581 [1 per cell]
O 0.2036 0.0368 0.5574 [1 per cell]
O 0.2140 0.7854 0.4514 [1 per cell]
O 0.2140 0.8220 0.1628 [1 per cell]
O 0.2197 0.9569 0.6616 [1 per cell]
O 0.2333 0.9648 0.9437 [1 per cell]
O 0.2948 0.1706 0.3292 [1 per cell]
O 0.2989 0.5219 0.8338 [1 per cell]
O 0.3295 0.1595 0.2224 [1 per cell]
O 0.3288 0.5224 0.1252 [1 per cell]
O 0.3456 0.1356 0.6251 [1 per cell]
O 0.3687 0.4912 0.7196 [1 per cell]
O 0.3886 0.4738 0.4344 [1 per cell]
O 0.3996 0.1186 0.9342 [1 per cell]
O 0.4667 0.6733 0.3885 [1 per cell]
O 0.4704 0.8950 0.2764 [1 per cell]
O 0.4772 0.6822 0.1033 [1 per cell]
O 0.4826 0.1320 0.4345 [1 per cell]
O 0.4827 0.8282 0.6006 [1 per cell]
O 0.4948 0.3772 0.9328 [1 per cell]
O 0.4966 0.8404 0.8866 [1 per cell]
O 0.4981 0.6478 0.7869 [1 per cell]
O 0.5064 0.6189 0.4951 [1 per cell]
O 0.5102 0.8579 0.9948 [1 per cell]
O 0.5120 0.1240 0.7229 [1 per cell]
O 0.5132 0.1492 0.1277 [1 per cell]
O 0.5144 0.3285 0.2213 [1 per cell]
O 0.5251 0.3257 0.6225 [1 per cell]
O 0.5429 0.2845 0.3284 [1 per cell]
O 0.5498 0.1572 0.8287 [1 per cell]
O 0.6277 0.8687 0.4953 [1 per cell]
O 0.6331 0.4980 0.9936 [1 per cell]
O 0.6432 0.4626 0.2755 [1 per cell]
O 0.6476 0.8685 0.7844 [1 per cell]
O 0.6679 0.4883 0.8859 [1 per cell]
O 0.6804 0.8559 0.3887 [1 per cell]
O 0.6866 0.4759 0.6001 [1 per cell]
O 0.6949 0.8164 0.0969 [1 per cell]
O 0.7685 0.1958 0.5562 [1 per cell]
O 0.7743 0.0492 0.0507 [1 per cell]
O 0.7939 0.9960 0.4512 [1 per cell]
O 0.7999 0.0269 0.7640 [1 per cell]
O 0.7997 0.1463 0.2663 [1 per cell]
O 0.8141 0.2242 0.9402 [1 per cell]
O 0.8241 0.2117 0.6610 [1 per cell]
O 0.8369 0.4636 0.1026 [1 per cell]
O 0.8391 0.6769 0.6001 [1 per cell]
O 0.8472 0.9577 0.1654 [1 per cell]
O 0.8479 0.6651 0.8873 [1 per cell]
O 0.8607 0.4993 0.7876 [1 per cell]
O 0.8639 0.4602 0.3883 [1 per cell]
O 0.8706 0.6260 0.9952 [1 per cell]
O 0.8774 0.4976 0.4949 [1 per cell]
O 0.8973 0.6420 0.2766 [1 per cell]
O 0.9643 0.8142 0.6607 [1 per cell]
O 0.9719 0.1995 0.1625 [1 per cell]
O 0.9806 0.7968 0.9429 [1 per cell]